LiPr2Pa2O8: optimized geometry, PBE.

V   174 Å³ per cell
Space-group type   P1
Calculated formation energy   -47.8 eV per formula unit

a = 7.924 Å, b = 10.419 Å, c = 6.804 Å
α = 29.26°, β = 54.37°, γ = 40.76°
Fractional coordinates of all 13 atoms:
Li1 0.257 0.001 0.482
Pr1 0.986 0.000 0.029
Pr2 0.748 0.500 0.002
Pa1 0.512 0.000 0.975
Pa2 0.249 0.500 0.002
O1 0.369 0.019 0.731
O2 0.145 0.469 0.791
O3 0.368 0.494 0.257
O4 0.881 0.981 0.768
O5 0.145 0.982 0.277
O6 0.596 0.530 0.730
O7 0.882 0.506 0.244
O8 0.595 0.017 0.243